# K3TiFeH4S4O19

A relaxed K3TiFeH4S4O19 crystal (PBE+U, the Materials Project).

Energy = -5.751 eV/atom
Calculated formation energy = -1.735 eV/atom

a b c (Å): 9.725 9.725 12.847
angles (deg): 88.48 88.48 132.11
Fractional coordinates of all 64 atoms:
S 0.158 0.293 0.960
S 0.726 0.273 0.250
S 0.273 0.726 0.750
S 0.682 0.321 0.748
S 0.837 0.703 0.040
S 0.321 0.682 0.248
S 0.293 0.158 0.460
S 0.703 0.837 0.540
O 0.788 0.529 0.735
O 0.718 0.263 0.654
O 0.646 0.808 0.864
O 0.170 0.529 0.776
O 0.529 0.170 0.276
O 0.188 0.745 0.659
O 0.537 0.688 0.488
O 0.790 0.777 0.598
O 0.288 0.739 0.343
O 0.980 0.151 0.026
O 0.084 0.402 0.472
O 0.251 0.801 0.845
O 0.354 0.190 0.139
O 0.221 0.211 0.903
O 0.920 0.600 0.530
O 0.013 0.842 0.975
O 0.402 0.084 0.972
O 0.461 0.302 0.513
O 0.470 0.835 0.720
O 0.479 0.224 0.760
O 0.529 0.788 0.235
O 0.777 0.790 0.098
O 0.224 0.479 0.260
O 0.211 0.221 0.403
O 0.688 0.537 0.988
O 0.190 0.354 0.639
O 0.910 0.079 0.248
O 0.151 0.980 0.526
O 0.739 0.288 0.843
O 0.835 0.470 0.220
O 0.263 0.718 0.154
O 0.801 0.251 0.345
O 0.600 0.920 0.030
O 0.842 0.013 0.475
O 0.808 0.646 0.364
O 0.745 0.188 0.159
O 0.302 0.461 0.013
O 0.079 0.910 0.748
H 0.391 0.159 0.074
H 0.611 0.841 0.929
H 0.474 0.868 0.050
H 0.159 0.391 0.574
H 0.841 0.611 0.429
H 0.145 0.528 0.446
H 0.528 0.145 0.946
H 0.868 0.474 0.550
Ti 0.760 0.989 0.143
Ti 0.989 0.760 0.643
Fe 0.011 0.249 0.359
Fe 0.249 0.011 0.859
K 0.515 0.483 0.251
K 0.869 0.129 0.751
K 0.500 0.001 0.500
K 0.483 0.515 0.751
K 0.001 0.500 0.000
K 0.129 0.869 0.251